[1]
# Zr63S128 | Materials Project | PBE | optimized geometry
data_Zr63S128
_chemical_formula_sum 'Zr63 S128'
_cell_length_a 14.716
_cell_length_b 14.721
_cell_length_c 25.194
_cell_angle_alpha 89.89
_cell_angle_beta 89.93
_cell_angle_gamma 60.03
_symmetry_space_group_name_H-M 'P -1'
_symmetry_Int_Tables_number 2
_symmetry_space_group_name_Hall '-P 1'
loop_
_atom_site_label
_atom_site_fract_x
_atom_site_fract_y
_atom_site_fract_z
Zr1 0.000 0.000 0.000
Zr2 0.000 0.000 0.249
Zr3 0.000 0.000 0.500
Zr4 0.000 0.250 0.249
Zr5 0.000 0.250 0.500
Zr6 0.000 0.250 0.750
Zr7 0.000 0.500 0.000
Zr8 0.000 0.500 0.249
Zr9 0.000 0.500 0.500
Zr10 0.001 0.750 0.999
Zr11 0.250 0.000 0.249
Zr12 0.250 0.000 0.500
Zr13 0.250 0.000 0.750
Zr14 0.250 0.250 0.001
Zr15 0.250 0.250 0.249
Zr16 0.250 0.250 0.500
Zr17 0.250 0.250 0.750
Zr18 0.250 0.500 0.249
Zr19 0.250 0.500 0.500
Zr20 0.250 0.500 0.751
Zr21 0.250 0.750 0.249
Zr22 0.250 0.750 0.500
Zr23 0.250 0.750 0.751
Zr24 0.250 0.999 0.001
Zr25 0.253 0.500 0.000
Zr26 0.253 0.747 0.000
Zr27 0.500 0.000 0.000
Zr28 0.500 0.000 0.249
Zr29 0.500 0.000 0.500
Zr30 0.500 0.250 0.249
Zr31 0.500 0.250 0.500
Zr32 0.500 0.250 0.751
Zr33 0.500 0.253 0.000
Zr34 0.500 0.500 0.249
Zr35 0.500 0.500 0.500
S1 0.082 0.584 0.942
S2 0.082 0.834 0.942
S3 0.083 0.083 0.191
S4 0.083 0.083 0.442
S5 0.083 0.083 0.692
S6 0.083 0.084 0.942
S7 0.083 0.333 0.442
S8 0.083 0.333 0.942
S9 0.083 0.334 0.191
S10 0.083 0.334 0.692
S11 0.083 0.583 0.442
S12 0.083 0.584 0.192
S13 0.083 0.584 0.693
S14 0.083 0.833 0.192
S15 0.083 0.833 0.442
S16 0.083 0.833 0.693
S17 0.165 0.668 0.058
S18 0.166 0.416 0.058
S19 0.166 0.918 0.058
S20 0.167 0.167 0.058
S21 0.167 0.167 0.307
S22 0.167 0.167 0.558
S23 0.167 0.167 0.808
S24 0.167 0.416 0.307
S25 0.167 0.416 0.808
S26 0.167 0.417 0.558
S27 0.167 0.666 0.307
S28 0.167 0.666 0.809
S29 0.167 0.667 0.558
S30 0.167 0.917 0.307
S31 0.167 0.917 0.558
S32 0.167 0.917 0.808
S33 0.328 0.586 0.943
S34 0.332 0.332 0.942
S35 0.332 0.835 0.942
S36 0.333 0.083 0.442
S37 0.333 0.084 0.942
S38 0.333 0.333 0.442
S39 0.333 0.583 0.191
S40 0.333 0.583 0.442
S41 0.333 0.833 0.442
S42 0.334 0.083 0.191
S43 0.334 0.083 0.692
S44 0.334 0.334 0.191
S45 0.334 0.334 0.693
S46 0.334 0.583 0.693
S47 0.334 0.833 0.191
S48 0.334 0.833 0.693
S49 0.414 0.414 0.057
S50 0.414 0.672 0.057
S51 0.416 0.166 0.058
S52 0.416 0.167 0.307
S53 0.416 0.167 0.808
S54 0.416 0.917 0.307
S55 0.416 0.917 0.808
S56 0.416 0.918 0.058
S57 0.417 0.167 0.558
S58 0.417 0.416 0.809
S59 0.417 0.417 0.307
S60 0.417 0.417 0.558
S61 0.417 0.666 0.307
S62 0.417 0.667 0.558
S63 0.417 0.667 0.809
S64 0.417 0.917 0.558
# Crystal system: triclinic

=====

[2]
# ScSb3 | Materials Project | PBE | optimized geometry
data_ScSb3
_chemical_formula_sum 'Sc2 Sb6'
_cell_length_a 6.4934
_cell_length_b 6.4934
_cell_length_c 5.6646
_cell_angle_alpha 90.00
_cell_angle_beta 90.00
_cell_angle_gamma 120.00
_symmetry_space_group_name_H-M 'P 63/m m c'
_symmetry_Int_Tables_number 194
_symmetry_space_group_name_Hall '-P 6c 2c'
loop_
_atom_site_label
_atom_site_fract_x
_atom_site_fract_y
_atom_site_fract_z
Sc1 0.3333 0.6667 0.2500
Sb1 0.1763 0.3527 0.7500
# Crystal system: hexagonal

=====

[3]
# ScSb | Materials Project | PBE | optimized geometry
data_ScSb
_chemical_formula_sum 'Sc1 Sb1'
_cell_length_a 3.629
_cell_length_b 3.629
_cell_length_c 3.629
_cell_angle_alpha 90.00
_cell_angle_beta 90.00
_cell_angle_gamma 90.00
_symmetry_space_group_name_H-M 'P m -3 m'
_symmetry_Int_Tables_number 221
_symmetry_space_group_name_Hall '-P 4 2 3'
loop_
_atom_site_label
_atom_site_fract_x
_atom_site_fract_y
_atom_site_fract_z
Sc1 0.000 0.000 0.000
Sb1 0.500 0.500 0.500
# Crystal system: cubic

=====

[4]
# Sc3Sb | Materials Project | PBE | optimized geometry
data_Sc3Sb
_chemical_formula_sum 'Sc6 Sb2'
_cell_length_a 4.337
_cell_length_b 4.337
_cell_length_c 9.775
_cell_angle_alpha 90.00
_cell_angle_beta 90.00
_cell_angle_gamma 90.00
_symmetry_space_group_name_H-M 'I 4/m m m'
_symmetry_Int_Tables_number 139
_symmetry_space_group_name_Hall '-I 4 2'
loop_
_atom_site_label
_atom_site_fract_x
_atom_site_fract_y
_atom_site_fract_z
Sc1 0.000 0.000 0.000
Sc2 0.000 0.500 0.250
Sb1 0.000 0.000 0.500
# Crystal system: tetragonal

=====

[5]
# ScSb | Materials Project | PBE | optimized geometry
data_ScSb
_chemical_formula_sum 'Sc4 Sb4'
_cell_length_a 5.892
_cell_length_b 5.892
_cell_length_c 5.892
_cell_angle_alpha 90.00
_cell_angle_beta 90.00
_cell_angle_gamma 90.00
_symmetry_space_group_name_H-M 'F m -3 m'
_symmetry_Int_Tables_number 225
_symmetry_space_group_name_Hall '-F 4 2 3'
loop_
_atom_site_label
_atom_site_fract_x
_atom_site_fract_y
_atom_site_fract_z
Sc1 0.000 0.000 0.000
Sb1 0.000 0.000 0.500
# Crystal system: cubic

=====

[6]
# TbScSb | Materials Project | PBE | optimized geometry
data_TbScSb
_chemical_formula_sum 'Tb2 Sc2 Sb2'
_cell_length_a 4.357
_cell_length_b 4.357
_cell_length_c 8.189
_cell_angle_alpha 90.00
_cell_angle_beta 90.00
_cell_angle_gamma 90.00
_symmetry_space_group_name_H-M 'P 4/n m m'
_symmetry_Int_Tables_number 129
loop_
_symmetry_equiv_pos_as_xyz
'x,y,z'
'-x,-y,-z'
'-y+1/2,x,z'
'y+1/2,-x,-z'
'-x+1/2,-y+1/2,z'
'x+1/2,y+1/2,-z'
'y,-x+1/2,z'
'-y,x+1/2,-z'
'x+1/2,-y,-z'
'-x+1/2,y,z'
'-y,-x,-z'
'y,x,z'
'-x,y+1/2,-z'
'x,-y+1/2,z'
'y+1/2,x+1/2,-z'
'-y+1/2,-x+1/2,z'
loop_
_atom_site_label
_atom_site_fract_x
_atom_site_fract_y
_atom_site_fract_z
Tb1 0.250 0.250 0.153
Sc1 0.250 0.750 0.500
Sb1 0.250 0.250 0.765
# Crystal system: tetragonal

=====

[7]
# ScU3Sb5 | Materials Project | PBE | optimized geometry
data_ScU3Sb5
_chemical_formula_sum 'Sc2 U6 Sb10'
_cell_length_a 9.2192
_cell_length_b 9.2192
_cell_length_c 6.2165
_cell_angle_alpha 90.00
_cell_angle_beta 90.00
_cell_angle_gamma 120.00
_symmetry_space_group_name_H-M 'P 63/m c m'
_symmetry_Int_Tables_number 193
_symmetry_space_group_name_Hall '-P 6c 2'
loop_
_atom_site_label
_atom_site_fract_x
_atom_site_fract_y
_atom_site_fract_z
Sc1 0.0000 0.0000 0.0000
U1 0.0000 0.3876 0.2500
Sb1 0.0000 0.2689 0.7500
Sb2 0.3333 0.6667 0.0000
# Crystal system: hexagonal

=====

[8]
# Sm3Sb4Se9 | Materials Project | PBE | optimized geometry
data_Sm3Sb4Se9
_chemical_formula_sum 'Sm12 Sb16 Se36'
_cell_length_a 16.689
_cell_length_b 4.027
_cell_length_c 25.310
_cell_angle_alpha 90.00
_cell_angle_beta 90.00
_cell_angle_gamma 90.00
_symmetry_space_group_name_H-M 'P n m a'
_symmetry_Int_Tables_number 62
_symmetry_space_group_name_Hall '-P 2ac 2n'
loop_
_atom_site_label
_atom_site_fract_x
_atom_site_fract_y
_atom_site_fract_z
Sm1 0.044 0.250 0.231
Sm2 0.126 0.250 0.058
Sm3 0.172 0.750 0.679
Sb1 0.043 0.750 0.419
Sb2 0.107 0.250 0.894
Sb3 0.143 0.250 0.502
Sb4 0.231 0.750 0.327
Se1 0.046 0.250 0.707
Se2 0.052 0.750 0.136
Se3 0.060 0.750 0.969
Se4 0.069 0.750 0.578
Se5 0.124 0.250 0.340
Se6 0.126 0.750 0.810
Se7 0.205 0.750 0.223
Se8 0.249 0.750 0.473
Se9 0.250 0.250 0.599
# Crystal system: orthorhombic

=====

[9]
# Sm10Sb3Se7 | Materials Project | PBE | optimized geometry
data_Sm10Sb3Se7
_chemical_formula_sum 'Sm20 Sb6 Se14'
_cell_length_a 7.447
_cell_length_b 21.301
_cell_length_c 7.338
_cell_angle_alpha 90.00
_cell_angle_beta 109.34
_cell_angle_gamma 90.00
_symmetry_space_group_name_H-M 'C 1 2/m 1'
_symmetry_Int_Tables_number 12
_symmetry_space_group_name_Hall '-C 2y'
loop_
_atom_site_label
_atom_site_fract_x
_atom_site_fract_y
_atom_site_fract_z
Sm1 0.243 0.000 0.255
Sm2 0.248 0.100 0.749
Sm3 0.248 0.197 0.238
Sb1 0.000 0.202 0.500
Sb2 0.000 0.500 0.000
Se1 0.000 0.000 0.500
Se2 0.000 0.098 0.000
Se3 0.000 0.300 0.000
Se4 0.000 0.400 0.500
# Crystal system: monoclinic

=====

Number 1: mass density 3.5 g cm⁻³, E (MP2020) -7.40 eV/atom. Number 2: mass density 6.6 g cm⁻³, E (MP2020) -5.05 eV/atom. Number 3: mass density 5.8 g cm⁻³, E (MP2020) -5.94 eV/atom. Number 4: mass density 4.6 g cm⁻³, E (MP2020) -6.33 eV/atom. Number 5: mass density 5.4 g cm⁻³, E (MP2020) -6.26 eV/atom. Number 6: mass density 7.0 g cm⁻³, E (MP2020) -5.96 eV/atom. Number 7: mass density 9.9 g cm⁻³, E (MP2020) -7.34 eV/atom. Number 8: mass density 6.4 g cm⁻³, E (MP2020) -5.03 eV/atom. Number 9: mass density 7.3 g cm⁻³, E (MP2020) -5.99 eV/atom.